(i)
VASP calculation (PBE+U) on LiFe4B4O12 after structural relaxation.

```
data_LiFe4B4O12
_cell_length_a 5.252
_cell_length_b 9.134
_cell_length_c 11.479
_cell_angle_alpha 113.14
_cell_angle_beta 101.99
_cell_angle_gamma 90.93
_space_group_name_H-M_alt 'P 1'
_space_group_IT_number 1
_space_group_name_Hall 'P 1'
loop_
_atom_site_label
_atom_site_fract_x
_atom_site_fract_y
_atom_site_fract_z
_atom_site_occupancy
Li1 0.000 0.000 0.000 1
Li2 0.280 0.254 0.503 1
Fe1 0.032 0.355 0.038 1
Fe2 0.261 0.878 0.785 1
Fe3 0.282 0.926 0.534 1
Fe4 0.503 0.461 0.278 1
Fe5 0.535 0.847 0.040 1
Fe6 0.755 0.389 0.789 1
Fe7 0.791 0.437 0.532 1
Fe8 0.996 0.961 0.283 1
B1 0.007 0.636 0.292 1
B2 0.032 0.681 0.027 1
B3 0.240 0.214 0.779 1
B4 0.303 0.592 0.537 1
B5 0.513 0.144 0.292 1
B6 0.533 0.168 0.036 1
B7 0.749 0.718 0.789 1
B8 0.789 0.103 0.539 1
O1 0.010 0.248 0.820 1
O2 0.032 0.085 0.507 1
O3 0.139 0.790 0.347 1
O4 0.143 0.506 0.240 1
O5 0.153 0.467 0.536 1
O6 0.238 0.748 0.591 1
O7 0.277 0.138 0.317 1
O8 0.292 0.692 0.032 1
O9 0.297 0.053 0.732 1
O10 0.370 0.018 0.987 1
O11 0.408 0.328 0.778 1
O12 0.409 0.303 0.089 1
O13 0.523 0.750 0.836 1
O14 0.524 0.566 0.487 1
O15 0.625 0.982 0.531 1
O16 0.629 0.009 0.226 1
O17 0.664 0.295 0.338 1
O18 0.708 0.260 0.579 1
O19 0.748 0.615 0.286 1
O20 0.783 0.168 0.028 1
O21 0.793 0.560 0.726 1
O22 0.881 0.534 0.979 1
O23 0.913 0.824 0.070 1
O24 0.926 0.841 0.810 1
```

(ii)
VASP calculation (PBE+U) on LiFe4B4O12 after structural relaxation.

```
data_LiFe4B4O12
_cell_length_a 5.239
_cell_length_b 5.267
_cell_length_c 20.110
_cell_angle_alpha 90.48
_cell_angle_beta 90.07
_cell_angle_gamma 118.94
_space_group_name_H-M_alt 'P 1'
_space_group_IT_number 1
_space_group_name_Hall 'P 1'
loop_
_atom_site_label
_atom_site_fract_x
_atom_site_fract_y
_atom_site_fract_z
_atom_site_occupancy
Li1 0.000 0.000 0.000 1
Li2 0.320 0.297 0.379 1
Fe1 0.334 0.673 0.488 1
Fe2 0.339 0.651 0.988 1
Fe3 0.650 0.986 0.865 1
Fe4 0.654 0.327 0.240 1
Fe5 0.661 0.330 0.739 1
Fe6 0.661 0.969 0.362 1
Fe7 0.980 0.648 0.114 1
Fe8 0.984 0.651 0.615 1
B1 0.314 0.658 0.238 1
B2 0.321 0.661 0.739 1
B3 0.653 0.992 0.113 1
B4 0.656 0.994 0.614 1
B5 0.657 0.319 0.990 1
B6 0.666 0.324 0.487 1
B7 0.992 0.649 0.364 1
B8 0.995 0.654 0.864 1
O1 0.005 0.913 0.365 1
O2 0.050 0.640 0.216 1
O3 0.061 0.646 0.715 1
O4 0.230 0.620 0.387 1
O5 0.260 0.679 0.884 1
O6 0.350 0.418 0.241 1
O7 0.364 0.428 0.737 1
O8 0.382 0.771 0.093 1
O9 0.389 0.778 0.588 1
O10 0.393 0.307 0.990 1
O11 0.442 0.381 0.477 1
O12 0.535 0.926 0.260 1
O13 0.536 0.928 0.764 1
O14 0.639 0.059 0.467 1
O15 0.668 0.251 0.638 1
O16 0.675 0.253 0.137 1
O17 0.688 0.081 0.967 1
O18 0.742 0.397 0.341 1
O19 0.783 0.388 0.837 1
O20 0.890 0.951 0.616 1
O21 0.895 0.959 0.105 1
O22 0.911 0.567 0.013 1
O23 0.928 0.533 0.516 1
O24 0.941 0.880 0.872 1
```

In terms of stability, (ii) leads; the second structure lies 5 meV/atom higher.

(i)
VASP calculation (PBE+U) on Li5VCr3O8 after structural relaxation.

```
data_Li5VCr3O8
_cell_length_a 6.0135
_cell_length_b 6.0135
_cell_length_c 15.1951
_cell_angle_alpha 90.00
_cell_angle_beta 90.00
_cell_angle_gamma 120.00
_space_group_name_H-M_alt 'R -3 m'
_space_group_IT_number 166
_space_group_name_Hall '-R 3 2"'
loop_
_atom_site_label
_atom_site_fract_x
_atom_site_fract_y
_atom_site_fract_z
_atom_site_occupancy
Li1 0.0000 0.0000 0.0654 1
Li2 0.0000 0.5000 0.5000 1
V1 0.0000 0.0000 0.5000 1
Cr1 0.0000 0.5000 0.0000 1
O1 0.0000 0.0000 0.2585 1
O2 0.0177 0.5089 0.2564 1
```

(ii)
# Li5VCr3O8 | the Materials Project | PBE+U | relaxed
# Maximum piezoelectric response = 0.76 C/m²
data_Li5VCr3O8
_cell_length_a 5.9992
_cell_length_b 5.9992
_cell_length_c 9.9287
_cell_angle_alpha 90.00
_cell_angle_beta 90.00
_cell_angle_gamma 120.00
_space_group_name_H-M_alt 'P 63 m c'
_space_group_IT_number 186
_space_group_name_Hall 'P 6c -2c'
loop_
_atom_site_label
_atom_site_fract_x
_atom_site_fract_y
_atom_site_fract_z
_atom_site_occupancy
Li1 0.0000 0.0000 0.0000 1
Li2 0.1953 0.3907 0.0762 1
Li3 0.3333 0.6667 0.2903 1
V1 0.3333 0.6667 0.5404 1
Cr1 0.1682 0.3363 0.8017 1
O1 0.0000 0.0000 0.1899 1
O2 0.0158 0.5079 0.6846 1
O3 0.1598 0.3196 0.4172 1
O4 0.3333 0.6667 0.9167 1

In terms of stability, (ii) leads; the second structure lies 12 meV/atom higher.

(i)
VASP calculation (PBE+U) on LiCoPO4 after structural relaxation.

```
data_LiCoPO4
_cell_length_a 10.8583
_cell_length_b 10.8583
_cell_length_c 11.5803
_cell_angle_alpha 90.00
_cell_angle_beta 90.00
_cell_angle_gamma 120.00
_space_group_name_H-M_alt 'P 64 2 2'
_space_group_IT_number 181
_space_group_name_Hall 'P 64 2 (0 0 2)'
loop_
_atom_site_label
_atom_site_fract_x
_atom_site_fract_y
_atom_site_fract_z
_atom_site_occupancy
Li1 0.0000 0.0000 0.0000 1
Li2 0.0000 0.5000 0.1562 1
Li3 0.0000 0.5000 0.8333 1
Co1 0.0000 0.2480 0.8333 1
Co2 0.2462 0.4925 0.5000 1
P1 0.0000 0.2535 0.3333 1
P2 0.2525 0.5050 0.0000 1
O1 0.0624 0.3718 0.4264 1
O2 0.1060 0.2132 0.7189 1
O3 0.1253 0.4209 0.9168 1
O4 0.1997 0.5904 0.0722 1
```

(ii)
VASP calculation (PBE+U) on LiCoPO4 after structural relaxation.

```
data_LiCoPO4
_cell_length_a 10.955
_cell_length_b 6.288
_cell_length_c 5.099
_cell_angle_alpha 90.00
_cell_angle_beta 90.00
_cell_angle_gamma 90.00
_space_group_name_H-M_alt 'P n a 21'
_space_group_IT_number 33
_space_group_name_Hall 'P 2c -2n'
loop_
_atom_site_label
_atom_site_fract_x
_atom_site_fract_y
_atom_site_fract_z
_atom_site_occupancy
Li1 0.168 0.034 0.000 1
Co1 0.085 0.297 0.501 1
P1 0.172 0.537 0.997 1
O1 0.091 0.736 0.064 1
O2 0.112 0.332 0.114 1
O3 0.179 0.514 0.695 1
O4 0.198 0.064 0.613 1
```

In terms of stability, (ii) leads; the second structure lies 37 meV/atom higher.

(i)
VASP calculation (PBE+U) on Li2Fe3SnO8 after structural relaxation.

```
data_Li2Fe3SnO8
_cell_length_a 5.959
_cell_length_b 6.076
_cell_length_c 10.189
_cell_angle_alpha 73.23
_cell_angle_beta 89.38
_cell_angle_gamma 60.86
_space_group_name_H-M_alt 'P 1'
_space_group_IT_number 1
_space_group_name_Hall 'P 1'
loop_
_atom_site_label
_atom_site_fract_x
_atom_site_fract_y
_atom_site_fract_z
_atom_site_occupancy
Li1 0.000 0.000 0.000 1
Li2 0.132 0.726 0.372 1
Li3 0.494 0.998 0.500 1
Li4 0.637 0.729 0.872 1
Fe1 0.065 0.363 0.686 1
Fe2 0.066 0.363 0.186 1
Fe3 0.321 0.364 0.937 1
Fe4 0.565 0.364 0.686 1
Fe5 0.566 0.363 0.186 1
Fe6 0.810 0.362 0.435 1
Sn1 0.065 0.863 0.686 1
Sn2 0.566 0.863 0.186 1
O1 0.151 0.138 0.558 1
O2 0.203 0.136 0.065 1
O3 0.213 0.589 0.576 1
O4 0.222 0.561 0.071 1
O5 0.430 0.162 0.803 1
O6 0.437 0.591 0.804 1
O7 0.453 0.132 0.297 1
O8 0.473 0.583 0.309 1
O9 0.658 0.144 0.064 1
O10 0.678 0.595 0.075 1
O11 0.694 0.137 0.568 1
O12 0.700 0.565 0.570 1
O13 0.909 0.165 0.301 1
O14 0.917 0.137 0.796 1
O15 0.928 0.589 0.308 1
O16 0.979 0.589 0.813 1
```

(ii)
VASP calculation (PBE+U) on Li2Fe3SnO8 after structural relaxation.

```
data_Li2Fe3SnO8
_cell_length_a 6.016
_cell_length_b 6.160
_cell_length_c 8.600
_cell_angle_alpha 91.57
_cell_angle_beta 90.08
_cell_angle_gamma 90.07
_space_group_name_H-M_alt 'P -1'
_space_group_IT_number 2
_space_group_name_Hall '-P 1'
loop_
_atom_site_label
_atom_site_fract_x
_atom_site_fract_y
_atom_site_fract_z
_atom_site_occupancy
Li1 0.249 0.497 0.129 1
Li2 0.251 0.003 0.371 1
Fe1 0.000 0.000 0.000 1
Fe2 0.000 0.500 0.500 1
Fe3 0.249 0.750 0.751 1
Fe4 0.500 0.000 0.000 1
Fe5 0.500 0.500 0.500 1
Sn1 0.251 0.251 0.751 1
O1 0.016 0.997 0.770 1
O2 0.017 0.504 0.734 1
O3 0.232 0.714 0.511 1
O4 0.235 0.786 0.989 1
O5 0.253 0.273 0.508 1
O6 0.255 0.229 0.992 1
O7 0.475 0.992 0.760 1
O8 0.478 0.507 0.738 1
```

(iii)
VASP calculation (PBE+U) on Li2Fe3SnO8 after structural relaxation.

```
data_Li2Fe3SnO8
_cell_length_a 8.531
_cell_length_b 8.522
_cell_length_c 8.538
_cell_angle_alpha 90.00
_cell_angle_beta 90.26
_cell_angle_gamma 90.00
_space_group_name_H-M_alt 'P 1 21 1'
_space_group_IT_number 4
_space_group_name_Hall 'P 2yb'
loop_
_atom_site_label
_atom_site_fract_x
_atom_site_fract_y
_atom_site_fract_z
_atom_site_occupancy
Li1 0.121 0.000 0.126 1
Li2 0.249 0.128 0.501 1
Li3 0.249 0.625 0.999 1
Li4 0.376 0.752 0.629 1
Fe1 0.114 0.255 0.873 1
Fe2 0.119 0.496 0.633 1
Fe3 0.125 0.760 0.369 1
Fe4 0.377 0.989 0.868 1
Fe5 0.381 0.251 0.137 1
Fe6 0.387 0.493 0.374 1
Sn1 0.002 0.373 0.253 1
Sn2 0.495 0.373 0.754 1
O1 0.098 0.990 0.377 1
O2 0.108 0.749 0.139 1
O3 0.116 0.271 0.634 1
O4 0.125 0.728 0.614 1
O5 0.127 0.487 0.850 1
O6 0.134 0.512 0.394 1
O7 0.136 0.012 0.874 1
O8 0.137 0.250 0.110 1
O9 0.355 0.501 0.614 1
O10 0.359 0.236 0.889 1
O11 0.361 0.742 0.375 1
O12 0.374 0.013 0.114 1
O13 0.374 0.262 0.361 1
O14 0.384 0.489 0.137 1
O15 0.387 0.001 0.638 1
O16 0.390 0.765 0.879 1
```

In terms of stability, (ii) leads; the second structure lies 33 meV/atom higher.